Here is crystalline Cu7Hg6 at its relaxed geometry from the Materials Project database. Energies are from PBE.

Lattice parameters (Å, degrees): 13.5595 13.5595 8.1689 90.00 90.00 120.00
Space group R3m (No. 160, hexagonal axes)
One atom of each set of equivalent atoms:
Cu 0.0000 0.0000 0.0000 x3
Cu 0.0000 0.0000 0.4965 x3
Cu 0.0665 0.1329 0.2572 x9
Cu 0.1073 0.2145 0.5649 x9
Cu 0.1294 0.0647 0.7425 x9
Cu 0.2156 0.1078 0.4356 x9
Hg 0.0557 0.3382 0.3427 x18
Hg 0.1008 0.5504 0.6084 x9
Hg 0.2154 0.4309 0.7436 x9

Output
Energy above the most stable polymorph in this dataset, meV per atom: 4

---

Here is crystalline InCu3HgSe4 at its relaxed geometry from the Materials Project database. Energies are from PBE.

Lattice parameters (Å, degrees): 6.043 6.043 6.043 90.00 90.00 90.00
Space group P-43m (No. 215)
One atom of each set of equivalent atoms:
In 0.000 0.000 0.000 x1
Cu 0.000 0.000 0.500 x3
Hg 0.500 0.500 0.500 x1
Se 0.246 0.246 0.246 x4

---

Here is crystalline CuHgO3 at its relaxed geometry from the Materials Project database. Energies are from PBE.

Lattice parameters (Å, degrees): 3.832 3.832 3.832 90.00 90.00 90.00
Space group Pm-3m (No. 221)
One atom of each set of equivalent atoms:
Cu 0.000 0.000 0.000 x1
Hg 0.500 0.500 0.500 x1
O 0.000 0.000 0.500 x3

---

Here is crystalline Cu3Hg2Te6O16 at its relaxed geometry from the Materials Project database. Energies are from PBE.

Lattice parameters (Å, degrees): 8.849 8.849 11.558 90.00 90.00 90.00
Space group P42_12 (No. 90)
One atom of each set of equivalent atoms:
Cu 0.000 0.500 0.054 x2
Cu 0.000 0.500 0.323 x2
Cu 0.000 0.500 0.607 x2
Hg 0.105 0.895 0.500 x4
Te 0.175 0.825 0.000 x4
Te 0.205 0.218 0.732 x8
O 0.092 0.699 0.323 x8
O 0.113 0.742 0.834 x8
O 0.122 0.316 0.061 x8
O 0.151 0.661 0.603 x8

---

Here is crystalline Cu2SnHgS4 at its relaxed geometry from the Materials Project database. Energies are from PBE.

Lattice parameters (Å, degrees): 5.618 5.618 11.080 90.00 90.00 90.00
Space group I-42m (No. 121)
One atom of each set of equivalent atoms:
Cu 0.000 0.500 0.250 x4
Sn 0.000 0.000 0.000 x2
Hg 0.000 0.000 0.500 x2
S 0.241 0.241 0.859 x8

---

Here is crystalline ScCu3HgSe4 at its relaxed geometry from the Materials Project database. Energies are from PBE.

Lattice parameters (Å, degrees): 5.945 5.945 5.945 90.00 90.00 90.00
Space group P-43m (No. 215)
One atom of each set of equivalent atoms:
Sc 0.000 0.000 0.000 x1
Cu 0.000 0.000 0.500 x3
Hg 0.500 0.500 0.500 x1
Se 0.243 0.243 0.243 x4

---

Here is crystalline Cu2SiHgSe4 at its relaxed geometry from the Materials Project database. Energies are from PBE.

Lattice parameters (Å, degrees): 8.124 6.861 6.650 90.00 90.00 90.00
Space group Pmn2_1 (No. 31)
One atom of each set of equivalent atoms:
Cu 0.247 0.176 0.000 x4
Si 0.000 0.321 0.489 x2
Hg 0.000 0.651 0.002 x2
Se 0.000 0.291 0.839 x2
Se 0.000 0.651 0.406 x2
Se 0.227 0.155 0.362 x4

---

Here is crystalline Cu2SnHgSe4 at its relaxed geometry from the Materials Project database. Energies are from PBE.

Lattice parameters (Å, degrees): 5.930 5.930 11.616 90.00 90.00 90.00
Space group I-42m (No. 121)
One atom of each set of equivalent atoms:
Cu 0.000 0.500 0.250 x4
Sn 0.000 0.000 0.000 x2
Hg 0.000 0.000 0.500 x2
Se 0.243 0.243 0.143 x8

---

| no. | DFT formation energy (eV/atom) | total magnetic moment (μB per atom) |
| --- | --- | --- |
| 1 | 0.144 | 0.000 |
| 2 | -0.264 | 0.001 |
| 3 | -0.349 | 0.138 |
| 4 | -1.265 | 0.036 |
| 5 | -0.540 | 0.000 |
| 6 | -0.676 | 0.000 |
| 7 | -0.513 | 0.000 |
| 8 | -0.508 | 0.000 |